# 1
Here is an optimized crystal structure of Na4Zn3GeP2S4O24 from Materials Project. Energies are from PBE.

Cell lengths 8.7624, 8.7672, 22.0864 Å; angles 89.38, 89.38, 60.17 degrees
Atoms (fractional coordinates):
Na (0.0000, 0.0000, 0.0000)
Na (0.0014, 0.9776, 0.4999)
Na (0.0112, 0.2917, 0.4156)
Na (0.3092, 0.3320, 0.8388)
Na (0.3216, 0.7021, 0.0860)
Na (0.3281, 0.3313, 0.3291)
Na (0.3544, 0.6284, 0.7571)
Na (0.6265, 0.9920, 0.7536)
Na (0.6619, 0.6565, 0.1730)
Na (0.6650, 0.0194, 0.4132)
Na (0.6698, 0.6460, 0.6640)
Na (0.6859, 0.9564, 0.0936)
Zn (0.3151, 0.3265, 0.6829)
Zn (0.3302, 0.3074, 0.1912)
Zn (0.6455, 0.6630, 0.0140)
Zn (0.6509, 0.6616, 0.5161)
Zn (0.6551, 0.6462, 0.8300)
Zn (0.9889, 0.9952, 0.6489)
Zn (0.9899, 0.0003, 0.1610)
Zn (0.9910, 0.9845, 0.3503)
Zn (0.9981, 0.9861, 0.8569)
Ge (0.3178, 0.3256, 0.9848)
Ge (0.3212, 0.3314, 0.4809)
Ge (0.6557, 0.6666, 0.3219)
P (0.3183, 0.0391, 0.0844)
P (0.3514, 0.6515, 0.9221)
P (0.3624, 0.9524, 0.4221)
P (0.6485, 0.3758, 0.4208)
P (0.6926, 0.9848, 0.2552)
P (0.9507, 0.6562, 0.4218)
S (0.0304, 0.3255, 0.5839)
S (0.0322, 0.6112, 0.0855)
S (0.2829, 0.9945, 0.7521)
S (0.2967, 0.6923, 0.2533)
S (0.3219, 0.6164, 0.5855)
S (0.6120, 0.3258, 0.0847)
S (0.6143, 0.0345, 0.5851)
S (0.6498, 0.9656, 0.9204)
S (0.6986, 0.2867, 0.7523)
S (0.9582, 0.3630, 0.9218)
S (0.9786, 0.3014, 0.2563)
S (0.9859, 0.6967, 0.7524)
O (0.0047, 0.1955, 0.3117)
O (0.0145, 0.7901, 0.0864)
O (0.0167, 0.7777, 0.8059)
O (0.0191, 0.1626, 0.5859)
O (0.1136, 0.3461, 0.6381)
O (0.1152, 0.5090, 0.1395)
O (0.1295, 0.3308, 0.2505)
O (0.1366, 0.4786, 0.4268)
O (0.1401, 0.3458, 0.9262)
O (0.1433, 0.3004, 0.5265)
O (0.1478, 0.5201, 0.7470)
O (0.1489, 0.5306, 0.0291)
O (0.1548, 0.0160, 0.0889)
O (0.1604, 0.7910, 0.5867)
O (0.1661, 0.8108, 0.9167)
O (0.1754, 0.9897, 0.4112)
O (0.1790, 0.0183, 0.8073)
O (0.1875, 0.7788, 0.3066)
O (0.2040, 0.9648, 0.6978)
O (0.2254, 0.7946, 0.1959)
O (0.2902, 0.1563, 0.0247)
O (0.2954, 0.5247, 0.5312)
O (0.3091, 0.1503, 0.7469)
O (0.3176, 0.5159, 0.2481)
O (0.3400, 0.4746, 0.9290)
O (0.3414, 0.5181, 0.6427)
O (0.3513, 0.1434, 0.4264)
O (0.3570, 0.1204, 0.1378)
O (0.4360, 0.6745, 0.9786)
O (0.4356, 0.8491, 0.4794)
O (0.4592, 0.6181, 0.8626)
O (0.4635, 0.8338, 0.7570)
O (0.4758, 0.6789, 0.2601)
O (0.4773, 0.3545, 0.4264)
O (0.4812, 0.6300, 0.5798)
O (0.4819, 0.1428, 0.9255)
O (0.4859, 0.8536, 0.0775)
O (0.4919, 0.8711, 0.3658)
O (0.4995, 0.3603, 0.1381)
O (0.5067, 0.1441, 0.2513)
O (0.5144, 0.1159, 0.6415)
O (0.5166, 0.3063, 0.7490)
O (0.5242, 0.1489, 0.5290)
O (0.5279, 0.2935, 0.0291)
O (0.6139, 0.4970, 0.3633)
O (0.6241, 0.8866, 0.8647)
O (0.6280, 0.8615, 0.5809)
O (0.6330, 0.4818, 0.0770)
O (0.6740, 0.4673, 0.7567)
O (0.6756, 0.8591, 0.9753)
O (0.6801, 0.8079, 0.2624)
O (0.6876, 0.4467, 0.4768)
O (0.7786, 0.0060, 0.3119)
O (0.7797, 0.1758, 0.8062)
O (0.7847, 0.1624, 0.0886)
O (0.7891, 0.0218, 0.5859)
O (0.7986, 0.2073, 0.6962)
O (0.7996, 0.9544, 0.1955)
O (0.8006, 0.9946, 0.9148)
O (0.8042, 0.1887, 0.4118)
O (0.8101, 0.4777, 0.2619)
O (0.8251, 0.6809, 0.7594)
O (0.8380, 0.6920, 0.4778)
O (0.8540, 0.4468, 0.9760)
O (0.8552, 0.6322, 0.0782)
O (0.8571, 0.4829, 0.5791)
O (0.8682, 0.6100, 0.3658)
O (0.8868, 0.4686, 0.8657)
O (0.9524, 0.2229, 0.2014)
O (0.9560, 0.8066, 0.6971)
O (0.9775, 0.8133, 0.4121)
O (0.9796, 0.1861, 0.9163)

Total moment, μB/f.u.: 0.000
Energy of formation, meV/atom: -2107
Calculated total energy, eV/cell: -670.2

---

# 2
Here is an optimized crystal structure of Ba2AlCuF9 from Materials Project. Energies are from PBE.

Cell lengths 5.4937, 7.4455, 9.4177 Å; angles 90.00, 90.91, 90.00 degrees
Atoms (fractional coordinates):
Ba (0.2382, 0.0000, 0.0550)
Ba (0.2480, 0.2283, 0.5884)
Ba (0.7520, 0.7283, 0.4116)
Ba (0.7618, 0.5000, 0.9450)
Al (0.2693, 0.7039, 0.6766)
Al (0.7307, 0.2039, 0.3234)
Cu (0.2470, 0.5089, 0.2320)
Cu (0.7530, 0.0089, 0.7680)
F (0.0156, 0.6825, 0.1730)
F (0.0319, 0.8862, 0.6590)
F (0.0347, 0.5375, 0.6940)
F (0.1928, 0.3560, 0.0521)
F (0.2424, 0.6887, 0.4818)
F (0.3097, 0.7345, 0.8618)
F (0.4915, 0.3815, 0.3570)
F (0.4931, 0.0344, 0.3300)
F (0.4953, 0.1640, 0.8279)
F (0.5047, 0.6640, 0.1721)
F (0.5069, 0.5344, 0.6700)
F (0.5085, 0.8815, 0.6430)
F (0.6903, 0.2345, 0.1382)
F (0.7576, 0.1887, 0.5182)
F (0.8072, 0.8560, 0.9479)
F (0.9653, 0.0375, 0.3060)
F (0.9681, 0.3862, 0.3410)
F (0.9844, 0.1825, 0.8270)

Total moment, μB/f.u.: 0.995
Energy of formation, meV/atom: -3551
Calculated total energy, eV/cell: -141.8

---

# 3
Here is an optimized crystal structure of Na3CaTiP3O12 from Materials Project. Energies are from PBE.

Cell lengths 9.1585, 9.1585, 21.9734 Å; angles 90.00, 90.00, 60.33 degrees
Atoms (fractional coordinates):
Na (0.0001, 0.9999, 0.0000)
Na (0.9999, 0.0001, 0.5000)
Na (0.0195, 0.3190, 0.9199)
Na (0.3121, 0.6468, 0.9209)
Na (0.3190, 0.0195, 0.4199)
Na (0.3198, 0.6880, 0.5871)
Na (0.3239, 0.3352, 0.3333)
Na (0.3352, 0.3239, 0.8333)
Na (0.3547, 0.9826, 0.7533)
Na (0.3663, 0.6423, 0.2534)
Na (0.6423, 0.3663, 0.7534)
Na (0.6448, 0.6978, 0.1666)
Na (0.6468, 0.3121, 0.4209)
Na (0.6880, 0.3198, 0.0871)
Na (0.6936, 0.9783, 0.5871)
Na (0.6978, 0.6448, 0.6666)
Na (0.9783, 0.6936, 0.0871)
Na (0.9826, 0.3547, 0.2533)
Ca (0.0018, 0.9951, 0.1482)
Ca (0.3179, 0.3355, 0.4820)
Ca (0.3355, 0.3179, 0.9820)
Ca (0.6662, 0.6700, 0.8154)
Ca (0.6700, 0.6662, 0.3154)
Ca (0.9951, 0.0018, 0.6482)
Ti (0.3146, 0.3394, 0.6824)
Ti (0.3394, 0.3146, 0.1824)
Ti (0.6583, 0.6732, 0.0153)
Ti (0.6732, 0.6583, 0.5153)
Ti (0.9904, 0.9897, 0.3488)
Ti (0.9897, 0.9904, 0.8488)
P (0.0120, 0.2852, 0.7516)
P (0.0153, 0.6863, 0.2455)
P (0.0198, 0.3484, 0.0813)
P (0.0219, 0.6207, 0.5822)
P (0.2837, 0.6889, 0.7481)
P (0.2852, 0.0120, 0.2516)
P (0.3484, 0.0198, 0.5813)
P (0.3481, 0.6154, 0.0806)
P (0.3530, 0.9540, 0.9126)
P (0.3592, 0.6791, 0.4141)
P (0.6154, 0.3481, 0.5806)
P (0.6207, 0.0219, 0.0822)
P (0.6791, 0.3592, 0.9141)
P (0.6805, 0.9527, 0.4181)
P (0.6863, 0.0153, 0.7455)
P (0.6889, 0.2837, 0.2481)
P (0.9527, 0.6805, 0.9181)
P (0.9540, 0.3530, 0.4126)
O (0.0004, 0.7722, 0.1856)
O (0.0211, 0.8074, 0.2990)
O (0.0324, 0.1643, 0.8085)
O (0.1058, 0.3358, 0.0213)
O (0.1266, 0.4999, 0.6386)
O (0.1288, 0.5538, 0.5264)
O (0.1337, 0.5374, 0.9256)
O (0.1351, 0.3136, 0.4196)
O (0.1353, 0.3535, 0.1362)
O (0.1643, 0.0324, 0.3085)
O (0.1652, 0.7957, 0.8040)
O (0.1858, 0.2839, 0.7479)
O (0.1864, 0.8486, 0.4146)
O (0.1865, 0.9446, 0.9172)
O (0.1893, 0.5196, 0.2494)
O (0.1946, 0.7885, 0.0883)
O (0.2056, 0.9797, 0.5867)
O (0.2061, 0.9892, 0.1952)
O (0.2155, 0.7847, 0.6892)
O (0.2839, 0.1858, 0.2479)
O (0.2910, 0.5137, 0.7461)
O (0.3136, 0.1351, 0.9196)
O (0.3304, 0.5418, 0.0215)
O (0.3358, 0.1058, 0.5213)
O (0.3406, 0.5239, 0.4213)
O (0.3535, 0.1353, 0.6362)
O (0.3687, 0.4877, 0.1355)
O (0.4362, 0.8849, 0.8520)
O (0.4500, 0.6617, 0.3547)
O (0.4614, 0.8629, 0.2571)
O (0.4627, 0.6586, 0.7560)
O (0.4689, 0.6977, 0.4689)
O (0.4757, 0.8287, 0.9655)
O (0.4877, 0.3687, 0.6355)
O (0.4999, 0.1266, 0.1386)
O (0.5137, 0.2910, 0.2461)
O (0.5180, 0.6205, 0.0798)
O (0.5196, 0.1893, 0.7494)
O (0.5223, 0.8501, 0.5843)
O (0.5239, 0.3406, 0.9213)
O (0.5374, 0.1337, 0.4256)
O (0.5418, 0.3304, 0.5215)
O (0.5538, 0.1288, 0.0264)
O (0.6193, 0.8521, 0.0782)
O (0.6205, 0.5180, 0.5798)
O (0.6411, 0.8807, 0.3633)
O (0.6485, 0.8724, 0.7529)
O (0.6586, 0.4627, 0.2560)
O (0.6617, 0.4500, 0.8547)
O (0.6977, 0.4689, 0.9689)
O (0.6989, 0.8382, 0.4763)
O (0.7722, 0.0004, 0.6856)
O (0.7847, 0.2155, 0.1892)
O (0.7885, 0.1946, 0.5883)
O (0.7957, 0.1652, 0.3040)
O (0.8008, 0.9853, 0.0914)
O (0.8074, 0.0211, 0.7990)
O (0.8287, 0.4757, 0.4655)
O (0.8382, 0.6989, 0.9763)
O (0.8486, 0.1864, 0.9146)
O (0.8501, 0.5223, 0.0843)
O (0.8502, 0.9561, 0.4112)
O (0.8521, 0.6193, 0.5782)
O (0.8629, 0.4614, 0.7571)
O (0.8724, 0.6485, 0.2529)
O (0.8807, 0.6411, 0.8633)
O (0.8849, 0.4362, 0.3520)
O (0.9446, 0.1865, 0.4172)
O (0.9561, 0.8502, 0.9112)
O (0.9797, 0.2056, 0.0867)
O (0.9853, 0.8008, 0.5914)
O (0.9892, 0.2061, 0.6952)

Total moment, μB/f.u.: 0.000
Energy of formation, meV/atom: -2870
Calculated total energy, eV/cell: -831.9

---

# 4
Here is an optimized crystal structure of LiLa5Ti8O24 from Materials Project. Energies are from PBE.

Cell lengths 8.7063, 8.7063, 8.7648 Å; angles 113.38, 113.38, 53.18 degrees
Atoms (fractional coordinates):
Li (0.0000, 0.0000, 0.0000)
La (0.1189, 0.1189, 0.5019)
La (0.2437, 0.2437, 0.0002)
La (0.3646, 0.3646, 0.4982)
La (0.6170, 0.6170, 0.5023)
La (0.8696, 0.8696, 0.4991)
Ti (0.0558, 0.5623, 0.7605)
Ti (0.1764, 0.6821, 0.2402)
Ti (0.3109, 0.8011, 0.7602)
Ti (0.4312, 0.9213, 0.2408)
Ti (0.5623, 0.0558, 0.7605)
Ti (0.6821, 0.1764, 0.2402)
Ti (0.8011, 0.3109, 0.7602)
Ti (0.9213, 0.4312, 0.2408)
O (0.0540, 0.0540, 0.7327)
O (0.0685, 0.5476, 0.2648)
O (0.1229, 0.6003, 0.0004)
O (0.1681, 0.6824, 0.7322)
O (0.1862, 0.1862, 0.2651)
O (0.2406, 0.7432, 0.5001)
O (0.2972, 0.2972, 0.7388)
O (0.3077, 0.8117, 0.2693)
O (0.3401, 0.9009, 0.0003)
O (0.4173, 0.9343, 0.7358)
O (0.4297, 0.4297, 0.2678)
O (0.4859, 0.9986, 0.5007)
O (0.5476, 0.0685, 0.2648)
O (0.5497, 0.5497, 0.7272)
O (0.6003, 0.1229, 0.0004)
O (0.6824, 0.1681, 0.7322)
O (0.6880, 0.6880, 0.2776)
O (0.7432, 0.2406, 0.5001)
O (0.7983, 0.7983, 0.7254)
O (0.8117, 0.3077, 0.2693)
O (0.9009, 0.3401, 0.0003)
O (0.9343, 0.4173, 0.7358)
O (0.9351, 0.9351, 0.2679)
O (0.9986, 0.4859, 0.5007)

Energy relative to the lowest polymorph listed for this composition, eV per formula unit: 0.75
Total moment, μB/f.u.: 0.000
Energy of formation, meV/atom: -3618
Calculated total energy, eV/cell: -329.5